# RhI, optimized geometry, DFT PBE
# MP2020-corrected energy: -17.04 eV for the cell shown
# ΔE_f: 183 meV/atom
data_RhI
_chemical_formula_sum 'Rh2 I2'
_space_group_name_H-M_alt 'P 63 m c'
_space_group_IT_number 186
_space_group_name_Hall 'P 6c -2c'
_cell_length_a 4.0925
_cell_length_b 4.0925
_cell_length_c 7.4470
_cell_angle_alpha 90.00
_cell_angle_beta 90.00
_cell_angle_gamma 120.00
loop_
_atom_site_label
_atom_site_fract_x
_atom_site_fract_y
_atom_site_fract_z
Rh1 0.3333 0.6667 0.0000
I1 0.3333 0.6667 0.6461

# Tb7RhI12, optimized geometry, DFT PBE
# MP2020-corrected energy: -263.45 eV for the cell shown
# ΔE_f: -1486 meV/atom
data_Tb7RhI12
_chemical_formula_sum 'Tb21 Rh3 I36'
_space_group_name_H-M_alt 'R -3'
_space_group_IT_number 148
_space_group_name_Hall '-R 3'
_cell_length_a 15.7716
_cell_length_b 15.7716
_cell_length_c 10.9895
_cell_angle_alpha 90.00
_cell_angle_beta 90.00
_cell_angle_gamma 120.00
loop_
_atom_site_label
_atom_site_fract_x
_atom_site_fract_y
_atom_site_fract_z
Tb1 0.0000 0.0000 0.0000
Tb2 0.0436 0.1580 0.3618
Rh1 0.0000 0.0000 0.5000
I1 0.0198 0.5866 0.1574
I2 0.0493 0.1761 0.8391

# Ru3I, optimized geometry, DFT PBE
# MP2020-corrected energy: -26.17 eV for the cell shown
# ΔE_f: 795 meV/atom
data_Ru3I
_chemical_formula_sum 'Ru3 I1'
_space_group_name_H-M_alt 'P m -3 m'
_space_group_IT_number 221
_space_group_name_Hall '-P 4 2 3'
_cell_length_a 3.9800
_cell_length_b 3.9800
_cell_length_c 3.9800
_cell_angle_alpha 90.00
_cell_angle_beta 90.00
_cell_angle_gamma 90.00
loop_
_atom_site_label
_atom_site_fract_x
_atom_site_fract_y
_atom_site_fract_z
Ru1 0.0000 0.0000 0.5000
I1 0.5000 0.5000 0.5000

# RuI, optimized geometry, DFT PBE
# MP2020-corrected energy: -18.89 eV for the cell shown
# ΔE_f: 678 meV/atom
data_RuI
_chemical_formula_sum 'Ru2 I2'
_space_group_name_H-M_alt 'P 63 m c'
_space_group_IT_number 186
_space_group_name_Hall 'P 6c -2c'
_cell_length_a 4.0299
_cell_length_b 4.0299
_cell_length_c 7.4290
_cell_angle_alpha 90.00
_cell_angle_beta 90.00
_cell_angle_gamma 120.00
loop_
_atom_site_label
_atom_site_fract_x
_atom_site_fract_y
_atom_site_fract_z
Ru1 0.3333 0.6667 0.0000
I1 0.3333 0.6667 0.6444

# Tb7RuI12, optimized geometry, DFT PBE
# MP2020-corrected energy: -267.01 eV for the cell shown
# ΔE_f: -1450 meV/atom
data_Tb7RuI12
_chemical_formula_sum 'Tb21 Ru3 I36'
_space_group_name_H-M_alt 'R -3'
_space_group_IT_number 148
_space_group_name_Hall '-R 3'
_cell_length_a 15.8012
_cell_length_b 15.8012
_cell_length_c 10.9004
_cell_angle_alpha 90.00
_cell_angle_beta 90.00
_cell_angle_gamma 120.00
loop_
_atom_site_label
_atom_site_fract_x
_atom_site_fract_y
_atom_site_fract_z
Tb1 0.0000 0.0000 0.0000
Tb2 0.0434 0.8859 0.3604
Ru1 0.0000 0.0000 0.5000
I1 0.0204 0.4344 0.1594
I2 0.0498 0.8728 0.8394

# Y3RuI3, optimized geometry, DFT PBE
# MP2020-corrected energy: -82.80 eV for the cell shown
# ΔE_f: -1165 meV/atom
data_Y3RuI3
_chemical_formula_sum 'Y6 Ru2 I6'
_space_group_name_H-M_alt 'P 1 21/m 1'
_space_group_IT_number 11
_cell_length_a 8.8933
_cell_length_b 4.2545
_cell_length_c 12.3449
_cell_angle_alpha 90.00
_cell_angle_beta 93.79
_cell_angle_gamma 90.00
loop_
_space_group_symop_operation_xyz
'x,y,z'
'-x,-y,-z'
'-x,y+1/2,-z'
'x,-y+1/2,z'
loop_
_atom_site_label
_atom_site_fract_x
_atom_site_fract_y
_atom_site_fract_z
Y1 0.0995 0.2500 0.3157
Y2 0.1323 0.2500 0.8734
Y3 0.2589 0.7500 0.1037
Ru1 0.0533 0.2500 0.0926
I1 0.1410 0.2500 0.6074
I2 0.3527 0.7500 0.3637
I3 0.4254 0.7500 0.8675

# Y4RuI5, optimized geometry, DFT PBE
# MP2020-corrected energy: -445.42 eV for the cell shown
# ΔE_f: -1292 meV/atom
data_Y4RuI5
_chemical_formula_sum 'Y32 Ru8 I40'
_space_group_name_H-M_alt 'P 42/n n m'
_space_group_IT_number 134
_cell_length_a 12.4356
_cell_length_b 12.4356
_cell_length_c 18.3552
_cell_angle_alpha 90.00
_cell_angle_beta 90.00
_cell_angle_gamma 90.00
loop_
_space_group_symop_operation_xyz
'x,y,z'
'-x,-y,-z'
'-y+1/2,x,z+1/2'
'y+1/2,-x,-z+1/2'
'-x+1/2,-y+1/2,z'
'x+1/2,y+1/2,-z'
'y,-x+1/2,z+1/2'
'-y,x+1/2,-z+1/2'
'x,-y+1/2,-z+1/2'
'-x,y+1/2,z+1/2'
'-y+1/2,-x+1/2,-z'
'y+1/2,x+1/2,z'
'-x+1/2,y,-z+1/2'
'x+1/2,-y,z+1/2'
'y,x,-z'
'-y,-x,z'
loop_
_atom_site_label
_atom_site_fract_x
_atom_site_fract_y
_atom_site_fract_z
Y1 0.0700 0.1352 0.1747
Y2 0.1276 0.6276 0.8345
Y3 0.1374 0.6374 0.5320
Ru1 0.1458 0.6458 0.6796
I1 0.1120 0.6120 0.3405
I2 0.1201 0.1201 0.0000
I3 0.1197 0.6197 0.0109
I4 0.1225 0.1444 0.6614

# SbS24I3, optimized geometry, DFT PBE
# MP2020-corrected energy: -367.15 eV for the cell shown
# ΔE_f: -515 meV/atom
data_SbS24I3
_chemical_formula_sum 'Sb3 S72 I9'
_space_group_name_H-M_alt 'R 3 m'
_space_group_IT_number 160
_space_group_name_Hall 'R 3 -2"'
_cell_length_a 26.2533
_cell_length_b 26.2533
_cell_length_c 5.0992
_cell_angle_alpha 90.00
_cell_angle_beta 90.00
_cell_angle_gamma 120.00
loop_
_atom_site_label
_atom_site_fract_x
_atom_site_fract_y
_atom_site_fract_z
Sb1 0.0000 0.0000 0.0000
S1 0.0418 0.4303 0.7827
S2 0.0440 0.2161 0.2941
S3 0.0935 0.1870 0.0985
S4 0.1180 0.3639 0.3176
S5 0.1981 0.3961 0.1323
I1 0.1063 0.0531 0.7329

# SbSI2, optimized geometry, DFT PBE
# MP2020-corrected energy: -25.37 eV for the cell shown
# ΔE_f: -342 meV/atom
data_SbSI2
_chemical_formula_sum 'Sb2 S2 I4'
_space_group_name_H-M_alt 'P m c 21'
_space_group_IT_number 26
_cell_length_a 6.3999
_cell_length_b 9.1716
_cell_length_c 6.2541
_cell_angle_alpha 90.00
_cell_angle_beta 90.00
_cell_angle_gamma 90.00
loop_
_space_group_symop_operation_xyz
'x,y,z'
'-x,-y,z+1/2'
'-x,y,z'
'x,-y,z+1/2'
loop_
_atom_site_label
_atom_site_fract_x
_atom_site_fract_y
_atom_site_fract_z
Sb1 0.0000 0.1449 0.0000
S1 0.0000 0.1213 0.6134
I1 0.0000 0.4978 0.8789
I2 0.5000 0.0170 0.0321

# SbSI2, optimized geometry, DFT PBE
# MP2020-corrected energy: -25.37 eV for the cell shown
# ΔE_f: -343 meV/atom
data_SbSI2
_chemical_formula_sum 'Sb2 S2 I4'
_space_group_name_H-M_alt 'P m c 21'
_space_group_IT_number 26
_cell_length_a 5.5235
_cell_length_b 6.3946
_cell_length_c 12.3430
_cell_angle_alpha 90.00
_cell_angle_beta 90.00
_cell_angle_gamma 90.00
loop_
_space_group_symop_operation_xyz
'x,y,z'
'-x,-y,z+1/2'
'-x,y,z'
'x,-y,z+1/2'
loop_
_atom_site_label
_atom_site_fract_x
_atom_site_fract_y
_atom_site_fract_z
Sb1 0.0000 0.0790 0.0000
S1 0.0000 0.1031 0.6647
I1 0.0000 0.4984 0.5773
I2 0.5000 0.0022 0.9101

# Tb3Si2S8I, optimized geometry, DFT PBE
# MP2020-corrected energy: -333.25 eV for the cell shown
# ΔE_f: -1710 meV/atom
data_Tb3Si2S8I
_chemical_formula_sum 'Tb12 Si8 S32 I4'
_space_group_name_H-M_alt 'C 1 2/c 1'
_space_group_IT_number 15
_cell_length_a 15.7706
_cell_length_b 7.6846
_cell_length_c 10.6955
_cell_angle_alpha 90.00
_cell_angle_beta 99.08
_cell_angle_gamma 90.00
loop_
_space_group_symop_operation_xyz
'x,y,z'
'-x,-y,-z'
'-x,y,-z+1/2'
'x,-y,z+1/2'
'x+1/2,y+1/2,z'
'-x+1/2,-y+1/2,-z'
'-x+1/2,y+1/2,-z+1/2'
'x+1/2,-y+1/2,z+1/2'
loop_
_atom_site_label
_atom_site_fract_x
_atom_site_fract_y
_atom_site_fract_z
Tb1 0.0000 0.1117 0.2500
Tb2 0.2017 0.3739 0.6809
Si1 0.1583 0.0380 0.0255
S1 0.0677 0.1630 0.5349
S2 0.1434 0.2516 0.1459
S3 0.1475 0.0973 0.8295
S4 0.2172 0.4321 0.4128
I1 0.0000 0.4822 0.7500

# SmSI, optimized geometry, DFT PBE
# MP2020-corrected energy: -100.13 eV for the cell shown
# ΔE_f: -2103 meV/atom
data_SmSI
_chemical_formula_sum 'Sm6 S6 I6'
_space_group_name_H-M_alt 'R -3 m'
_space_group_IT_number 166
_space_group_name_Hall '-R 3 2"'
_cell_length_a 4.6060
_cell_length_b 4.6060
_cell_length_c 33.4160
_cell_angle_alpha 90.00
_cell_angle_beta 90.00
_cell_angle_gamma 120.00
loop_
_atom_site_label
_atom_site_fract_x
_atom_site_fract_y
_atom_site_fract_z
Sm1 0.0000 0.0000 0.1134
S1 0.0000 0.0000 0.1981
I1 0.0000 0.0000 0.3868